(1)
This record from Materials Project describes Li5Mn6B6O18 after structural relaxation. The functional is PBE+U.

a b c (Å): 8.9066 8.9066 14.2838
angles (deg): 89.87 89.87 41.86
Last column: nearest neighbours and their distance in Å.
Element x y z (fractional)
Mn 0.8152 0.3108 0.9943  5 O 2.09-2.18
B 0.0007 0.0007 0.8298  3 O 1.37-1.40
O 0.6800 0.1752 0.5547  1 B 1.40
O 0.8033 0.3401 0.5415  1 B 1.37
O 0.4257 0.4257 0.2096  1 B 1.39
Mn 0.8420 0.3378 0.6818  5 O 2.03-2.23
O 0.9252 0.4302 0.0549  1 B 1.40
B 0.7504 0.7504 0.3329  3 O 1.39-1.40
O 0.0679 0.0679 0.8889  1 B 1.40
Mn 0.3378 0.8420 0.6818  5 O 2.03-2.23
O 0.0896 0.5541 0.0416  1 B 1.37
Li 0.9338 0.9338 0.3509  4 O 2.00-2.05
O 0.0146 0.0146 0.0727  1 B 1.38
O 0.4911 0.9907 0.9024  1 B 1.40
Mn 0.6003 0.0940 0.8246  5 O 2.09-2.20
O 0.1752 0.6800 0.5547  1 B 1.40
B 0.0015 0.4942 0.0002  3 O 1.37-1.40
Li 0.9206 0.9206 0.6403  4 O 2.00-2.05
O 0.4302 0.9252 0.0549  1 B 1.40
O 0.5100 0.5100 0.7368  1 B 1.39
O 0.3401 0.8033 0.5415  1 B 1.37
O 0.6739 0.6739 0.3732  1 B 1.40
B 0.2512 0.2512 0.3300  3 O 1.37-1.40
B 0.7502 0.7502 0.6674  3 O 1.38-1.39
O 0.5682 0.5682 0.8918  1 B 1.40
Mn 0.5917 0.0878 0.1819  5 O 2.03-2.20
B 0.2534 0.2534 0.6694  3 O 1.38-1.39
O 0.5700 0.5700 0.2235  1 B 1.39
O 0.5072 0.5072 0.0712  1 B 1.39
Li 0.3949 0.3949 0.0092  4 O 1.97-2.07
Mn 0.0654 0.5604 0.4943  5 O 2.09-2.18
O 0.0691 0.0691 0.2262  1 B 1.39
Mn 0.0878 0.5917 0.1819  5 O 2.03-2.20
Mn 0.3439 0.8505 0.3246  5 O 2.08-2.21
B 0.7437 0.2519 0.5001  3 O 1.37-1.40
O 0.0118 0.0118 0.7327  1 B 1.40
O 0.2661 0.2661 0.5740  1 B 1.38
O 0.4246 0.4246 0.8741  1 B 1.39
Li 0.4339 0.4339 0.3501  4 O 2.00-2.01
O 0.9245 0.9245 0.8671  1 B 1.37
O 0.9907 0.4911 0.9024  1 B 1.40
B 0.5013 0.5013 0.1687  3 O 1.39
O 0.7558 0.7558 0.5701  1 B 1.39
B 0.5008 0.5008 0.8332  3 O 1.39-1.40
Mn 0.3108 0.8152 0.9943  5 O 2.09-2.18
O 0.9256 0.9256 0.2074  1 B 1.39
O 0.1767 0.1767 0.7078  1 B 1.39
O 0.8190 0.8190 0.7216  1 B 1.38
Li 0.4203 0.4203 0.6407  4 O 2.03-2.08
Li 0.1842 0.1842 0.8496  4 O 2.00-2.03
B 0.2519 0.7437 0.5001  3 O 1.37-1.40
O 0.8177 0.8177 0.3914  1 B 1.40
O 0.2620 0.2620 0.2330  1 B 1.40
Li 0.6445 0.6445 0.5088  4 O 1.96-2.05
B 0.4942 0.0015 0.0002  3 O 1.37-1.40
O 0.3202 0.3202 0.7282  1 B 1.39
O 0.1752 0.1752 0.3678  1 B 1.37
O 0.6747 0.6747 0.7092  1 B 1.39
Mn 0.8505 0.3439 0.3246  5 O 2.08-2.21
Li 0.6702 0.6702 0.1409  4 O 2.00-2.04
O 0.7405 0.2414 0.4023  1 B 1.40
O 0.7599 0.7599 0.2364  1 B 1.39
Li 0.6835 0.6835 0.8513  4 O 1.99-2.04
O 0.2414 0.7405 0.4023  1 B 1.40
B 0.0021 0.0021 0.1681  3 O 1.38-1.39
Mn 0.5604 0.0654 0.4943  5 O 2.09-2.18
Mn 0.0940 0.6003 0.8246  5 O 2.09-2.20
O 0.3183 0.3183 0.3892  1 B 1.40
Li 0.1706 0.1706 0.1401  4 O 2.02-2.09
O 0.5541 0.0896 0.0416  1 B 1.37

* energy above the lowest structure with this stoichiometry: 13 meV per atom
* volume: 756.1 Å³ per cell
* symmetry: Cm, No. 8
* formation enthalpy at 0 K: -2.47 eV/atom
* raw total energy: -0.541 Ry/atom

(2)
This record from Materials Project describes Li2Mn3B3O9 after structural relaxation. The functional is PBE+U.

a b c (Å): 5.2981 7.8541 9.6135
angles (deg): 104.76 104.22 87.42
Last column: nearest neighbours and their distance in Å.
Element x y z (fractional)
O 0.7679 0.1210 0.2014  1 B 1.39
Mn 0.4338 0.0313 0.7077  5 O 2.03-2.15
O 0.1213 0.1923 0.1079  1 B 1.38
O 0.7777 0.8530 0.4421  1 B 1.36
Mn 0.1074 0.7067 0.0451  5 O 1.97-2.13
Li 0.4672 0.2303 0.0823  4 O 1.95-2.05
O 0.8959 0.5500 0.1302  1 B 1.39
Mn 0.2222 0.6254 0.6173  5 O 2.05-2.22
O 0.8513 0.0532 0.7712  1 B 1.40
B 0.6502 0.5822 0.1578  3 O 1.37-1.41
B 0.9866 0.9167 0.8257  3 O 1.37-1.40
Li 0.1913 0.4386 0.2481  4 O 1.96-2.05
O 0.2287 0.8703 0.7957  1 B 1.40
B 0.6846 0.7515 0.5137  3 O 1.36-1.40
B 0.3216 0.2520 0.4941  3 O 1.36-1.41
O 0.4704 0.2651 0.8841  1 B 1.42
O 0.4561 0.7909 0.5626  1 B 1.40
O 0.8771 0.8311 0.9052  1 B 1.37
Mn 0.5558 0.9607 0.2842  5 O 2.02-2.19
O 0.5600 0.2010 0.4608  1 B 1.40
O 0.4538 0.5140 0.7776  1 B 1.35
Li 0.8734 0.0870 0.5735  4 O 1.91-2.05
O 0.5379 0.4773 0.2209  1 B 1.37
B 0.0055 0.0809 0.1648  3 O 1.38-1.41
O 0.1924 0.3927 0.4422  1 B 1.41
O 0.1281 0.4738 0.9032  1 B 1.41
B 0.3497 0.4187 0.8484  3 O 1.35-1.42
Li 0.5413 0.7521 0.9063  4 O 1.91-2.06
Mn 0.8852 0.3004 0.9403  5 O 2.07-2.30
O 0.2071 0.1661 0.5702  1 B 1.36
Mn 0.7694 0.3667 0.3882  5 O 2.09-2.28
O 0.5075 0.7194 0.1065  1 B 1.41
O 0.8241 0.6081 0.5486  1 B 1.39
O 0.1422 0.9316 0.1969  1 B 1.41

* energy above the lowest structure with this stoichiometry: 15 meV per atom
* volume: 374.9 Å³ per cell
* symmetry: P1, No. 1
* formation enthalpy at 0 K: -2.45 eV/atom
* raw total energy: -0.546 Ry/atom

(3)
This record from Materials Project describes Li5Mn6B6O18 after structural relaxation. The functional is PBE+U.

a b c (Å): 14.6883 14.6883 8.2583
angles (deg): 89.55 89.55 25.02
Last column: nearest neighbours and their distance in Å.
Element x y z (fractional)
Mn 0.4104 0.9046 0.1660  5 O 2.09-2.21
O 0.9915 0.4565 0.8659  1 B 1.37
Mn 0.6540 0.1610 0.6658  5 O 2.09-2.21
B 0.8331 0.8331 0.5003  3 O 1.39-1.40
O 0.8045 0.8045 0.6364  1 B 1.39
O 0.3026 0.3026 0.6390  1 B 1.40
O 0.3129 0.3129 0.3478  1 B 1.40
Li 0.0745 0.0745 0.3677  4 O 2.00-2.05
O 0.1455 0.1455 0.3451  1 B 1.39
O 0.7988 0.3008 0.4890  1 B 1.40
Li 0.9959 0.9959 0.7904  4 O 1.99-2.02
O 0.4798 0.9808 0.1560  1 B 1.40
Li 0.5751 0.5751 0.3696  4 O 2.00-2.07
B 0.1665 0.1665 0.4960  3 O 1.38-1.39
O 0.8815 0.8815 0.5155  1 B 1.39
O 0.1315 0.1315 0.0151  1 B 1.40
Li 0.4957 0.4957 0.7901  4 O 1.99-2.04
Mn 0.9046 0.4104 0.1660  5 O 2.09-2.21
O 0.2298 0.7307 0.6561  1 B 1.40
B 0.3320 0.3320 0.5037  3 O 1.37-1.40
Mn 0.7485 0.2529 0.1376  5 O 2.03-2.23
O 0.4565 0.9915 0.8659  1 B 1.37
B 0.4158 0.4158 0.9956  3 O 1.38-1.39
Mn 0.9987 0.5027 0.6376  5 O 2.03-2.21
O 0.7307 0.2298 0.6561  1 B 1.40
O 0.9808 0.4798 0.1560  1 B 1.40
B 0.2465 0.7555 0.5018  3 O 1.37-1.40
O 0.0544 0.0544 0.1357  1 B 1.38
O 0.2058 0.7422 0.3660  1 B 1.37
Li 0.8251 0.8251 0.8685  4 O 2.00-2.04
O 0.6364 0.6364 0.6279  1 B 1.38
O 0.6468 0.6468 0.3422  1 B 1.39
O 0.8895 0.8895 0.1370  1 B 1.39
O 0.7143 0.7143 0.5124  1 B 1.39
O 0.0638 0.0638 0.8446  1 B 1.40
Li 0.1799 0.1799 0.8414  4 O 1.96-2.06
O 0.8138 0.8138 0.3452  1 B 1.40
Mn 0.3449 0.8392 0.6955  5 O 2.10-2.18
O 0.5524 0.0471 0.9889  1 B 1.40
Mn 0.0945 0.5896 0.1955  5 O 2.09-2.18
O 0.3963 0.3963 0.8418  1 B 1.39
B 0.4972 0.0048 0.0017  3 O 1.37-1.40
Li 0.2456 0.2456 0.2907  4 O 1.99-2.01
Mn 0.2529 0.7485 0.1376  5 O 2.03-2.23
Mn 0.1610 0.6540 0.6658  5 O 2.09-2.21
O 0.3008 0.7988 0.4890  1 B 1.40
Mn 0.8392 0.3449 0.6955  5 O 2.10-2.18
O 0.7422 0.2058 0.3660  1 B 1.37
Li 0.3246 0.3246 0.8690  4 O 2.01-2.07
O 0.5629 0.5629 0.8485  1 B 1.40
B 0.9167 0.9167 0.9965  3 O 1.39
B 0.0830 0.0830 0.0000  3 O 1.38-1.40
B 0.7555 0.2465 0.5018  3 O 1.37-1.40
O 0.3796 0.3796 0.5217  1 B 1.37
O 0.8960 0.8960 0.8455  1 B 1.39
O 0.5527 0.5527 0.1398  1 B 1.40
B 0.0048 0.4972 0.0017  3 O 1.37-1.40
O 0.1393 0.1393 0.6368  1 B 1.39
O 0.4639 0.4639 0.0115  1 B 1.39
O 0.3861 0.3861 0.1275  1 B 1.38
O 0.6297 0.6297 0.0221  1 B 1.37
B 0.6661 0.6661 0.4962  3 O 1.38-1.39
Mn 0.5027 0.9987 0.6376  5 O 2.03-2.21
Mn 0.5896 0.0945 0.1955  5 O 2.09-2.18
O 0.9649 0.9649 0.0105  1 B 1.39
O 0.0471 0.5524 0.9889  1 B 1.40
Li 0.7458 0.7458 0.2894  4 O 1.99-2.05
Li 0.9299 0.9299 0.3416  4 O 1.96-2.06
O 0.2146 0.2146 0.5095  1 B 1.38
B 0.5822 0.5822 0.0040  3 O 1.37-1.40

* energy above the lowest structure with this stoichiometry: 14 meV per atom
* volume: 753.5 Å³ per cell
* symmetry: Cm, No. 8
* formation enthalpy at 0 K: -2.47 eV/atom
* raw total energy: -0.541 Ry/atom